20
Lattice="5.0872 0.0000 0.0000 1.6908 4.8402 0.0000 2.4169 0.1153 7.2394" Properties=species:S:1:pos:R:3 comment="PBE with a Hubbard U Li3MnCoO5, optimized geometry" polymorph_energy_ev_per_atom=0.005 volume_a3_per_cell=178 formation_energy_ev_per_atom=-1.96 m_tot_mub_per_fu=3.0 pbc="T T T"
Li 0.0000 0.0000 0.0000
Li 3.2655 2.4992 5.8264
Li 3.3699 2.4435 2.8707
Li 3.3890 2.4201 0.0000
Li 5.8251 2.5120 4.3687
Li 5.9295 2.4563 1.4130
Mn 4.2104 4.8268 1.4317
Mn 4.9846 0.1286 5.8077
Co 2.4582 0.0805 4.4221
Co 6.7367 4.8749 2.8173
O 1.7243 1.0974 2.8252
O 2.6273 3.7404 1.5049
O 4.2256 1.1988 7.2370
O 5.0359 3.8623 5.6957
O 4.1736 1.2012 4.4217
O 5.0214 3.7543 2.8177
O 4.1590 1.0932 1.5436
O 4.9694 3.7566 0.0024
O 6.5677 1.2150 5.7345
O 7.4707 3.8581 4.4141


24
Lattice="6.6265 -1.4378 0.0000 6.6265 1.4378 0.0000 -2.4659 0.0000 11.4766" Properties=species:S:1:pos:R:3 comment="PBE with a Hubbard U Li7Mn4CoO12, optimized geometry" polymorph_energy_ev_per_atom=0.042 volume_a3_per_cell=219 formation_energy_ev_per_atom=-2.04 m_tot_mub_per_fu=16.0 pbc="T T T"
Li 0.0000 0.0000 0.0000
Li -0.5545 0.0000 2.7901
Li 4.2644 0.0000 0.9352
Li 3.0259 0.0000 6.6848
Li 7.7612 0.0000 4.7918
Li 6.5227 0.0000 10.5414
Li 11.3416 0.0000 8.6864
Mn 3.5814 0.0000 3.8104
Mn 2.4996 0.0000 9.6266
Mn 8.2875 0.0000 1.8500
Mn 7.2057 0.0000 7.6662
Co -1.2329 0.0000 5.7383
O 1.4669 0.0000 3.1722
O 2.0878 0.0000 0.6245
O 0.8837 0.0000 6.3635
O 0.4062 0.0000 9.0132
O 4.2889 0.0000 9.9862
O 5.0999 0.0000 7.0023
O 5.6872 0.0000 4.4743
O 6.4982 0.0000 1.4904
O 10.3809 0.0000 2.4634
O 9.9034 0.0000 5.1131
O 8.6993 0.0000 10.8521
O 9.3202 0.0000 8.3043


20
Lattice="4.9353 -1.4565 0.0000 4.9353 1.4565 0.0000 -2.8307 0.0000 12.6570" Properties=species:S:1:pos:R:3 comment="PBE with a Hubbard U Li3MnCoO5, optimized geometry" polymorph_energy_ev_per_atom=0.105 volume_a3_per_cell=182 formation_energy_ev_per_atom=-1.85 m_tot_mub_per_fu=3.0 pbc="T T T"
Li 0.0000 0.0000 0.0000
Li 0.8978 0.0000 5.4675
Li 1.8112 0.0000 10.1458
Li 3.5439 0.0000 6.5068
Li 5.4110 0.0000 2.7158
Li 6.3022 0.0000 7.7684
Mn 2.7395 0.0000 1.3926
Mn 8.0536 0.0000 4.0221
Co -0.9259 0.0000 8.7564
Co 4.4216 0.0000 11.3510
O -1.7872 0.0000 10.9886
O -0.0175 0.0000 7.2068
O 1.9698 0.0000 3.2343
O 0.6883 0.0000 12.3383
O 2.7353 0.0000 8.4010
O 4.3025 0.0000 4.4379
O 6.4916 0.0000 0.8870
O 5.2777 0.0000 9.7480
O 7.1996 0.0000 5.5974
O 8.8432 0.0000 2.0403


28
Lattice="5.0326 0.0000 0.0000 0.8370 6.5424 0.0000 1.7800 0.2914 7.5424" Properties=species:S:1:pos:R:3 comment="PBE with a Hubbard U Li4MnCo2O7, optimized geometry" polymorph_energy_ev_per_atom=0.022 volume_a3_per_cell=248 formation_energy_ev_per_atom=-1.86 m_tot_mub_per_fu=9.0 pbc="T T T"
Li 0.0000 0.0000 0.0000
Li 1.6686 5.8063 2.6400
Li 2.5180 4.9723 5.2711
Li 2.4693 3.0169 3.1115
Li 2.4336 1.0030 1.0476
Li 5.1324 5.9036 6.3755
Li 5.0690 4.0191 4.1558
Li 5.0115 1.9693 2.0623
Mn 3.3729 2.1474 5.8403
Mn 3.3547 0.1875 3.6568
Co 1.5861 3.8629 0.5444
Co 4.1146 4.8695 1.5169
Co 5.8778 3.1516 6.9682
Co 5.8752 1.1723 4.7486
O 1.7178 2.9212 5.1286
O 0.8053 1.9458 0.0427
O 1.7487 1.0798 3.0453
O 2.5044 0.4150 5.4545
O 2.5525 5.5962 0.7034
O 3.4502 4.9908 3.4178
O 4.1715 3.8783 6.1380
O 3.3494 2.9386 1.1704
O 4.2144 1.9606 4.0692
O 4.9882 1.3318 6.4957
O 4.0951 0.1246 1.9068
O 5.8082 6.0201 4.4654
O 6.7796 4.9515 7.1913
O 5.8143 3.8777 2.2115


28
Lattice="5.9229 0.0000 0.0000 -1.5426 6.3629 0.0000 -2.8679 -2.6578 6.6476" Properties=species:S:1:pos:R:3 comment="PBE with a Hubbard U Li4MnCo2O7, optimized geometry" polymorph_energy_ev_per_atom=0.042 volume_a3_per_cell=251 formation_energy_ev_per_atom=-1.84 m_tot_mub_per_fu=11.0 pbc="T T T"
Li 0.0000 0.0000 0.0000
Li -2.9372 1.3468 5.7352
Li -1.3871 3.0559 3.7967
Li -0.0239 4.7194 1.8209
Li -1.4236 3.6512 6.5794
Li 1.6088 -1.0284 4.7923
Li 3.0567 0.6471 2.8642
Li 4.4456 2.2853 0.9225
Mn 0.1037 0.6212 2.8536
Mn 1.4635 2.3252 0.9319
Co -1.3825 -1.0510 4.7862
Co 0.1000 1.4066 5.7622
Co 1.5377 3.0484 3.8918
Co 2.9720 4.6914 1.8844
O -2.7268 -0.6483 6.2219
O -2.9260 3.3919 5.0928
O -1.2256 0.9128 4.2597
O 0.1436 -1.2175 3.3338
O 0.1302 2.5477 2.3611
O 1.4786 0.4638 1.4945
O 1.4356 4.2272 0.4584
O -0.0419 -0.6656 6.2582
O 0.0887 3.3016 5.1497
O 1.4612 1.0378 4.2431
O 1.6848 4.9781 3.2951
O 2.8506 2.7765 2.2611
O 4.6336 0.2340 1.5867
O 4.2540 4.3298 0.4753


28
Lattice="2.9501 0.0000 0.0000 -1.1482 9.7054 0.0000 -0.4782 -4.2171 8.8722" Properties=species:S:1:pos:R:3 comment="PBE with a Hubbard U Li4MnCo2O7, optimized geometry" polymorph_energy_ev_per_atom=0.054 volume_a3_per_cell=254 formation_energy_ev_per_atom=-1.83 m_tot_mub_per_fu=4.2 pbc="T T T"
Li 0.0000 0.0000 0.0000
Li -0.4078 -2.0772 7.0549
Li -0.0674 2.5174 3.1500
Li -0.2601 2.9842 8.2929
Li 0.0790 7.5587 4.4364
Li 1.4847 2.2878 0.5922
Li 1.3282 2.7481 5.7071
Li 1.6340 7.3715 1.9407
Mn -0.1072 5.2488 6.4474
Mn 1.1753 0.4477 7.5951
Co -0.1951 0.2601 5.0360
Co 0.0810 4.8333 1.2804
Co 1.3510 0.0685 2.4314
Co 1.4466 5.0239 3.8266
O 0.0204 1.1500 1.6806
O -0.4896 -0.6219 8.5540
O -0.0985 1.5349 6.5986
O -0.1355 4.0126 4.7670
O 0.0857 6.0706 2.9353
O 0.2041 8.5772 1.1637
O 1.0389 -3.2548 7.8185
O 1.2228 -0.7553 6.0041
O 1.3304 1.2571 4.0257
O 1.4637 3.8233 2.1804
O 1.6662 5.9136 0.3329
O 1.3558 4.2011 7.1925
O 1.3848 6.2071 5.5054
O 2.6598 -0.9552 3.5050


16
Lattice="5.2295 -2.9118 0.0000 5.2295 2.9118 0.0000 -3.2849 0.0000 4.8612" Properties=species:S:1:pos:R:3 comment="PBE with a Hubbard U Li4MnCo3O8, optimized geometry" polymorph_energy_ev_per_atom=0.018 volume_a3_per_cell=148 formation_energy_ev_per_atom=-1.78 m_tot_mub_per_fu=4.0 pbc="T T T"
Li 0.0000 0.0000 0.0000
Li 2.6147 1.4559 0.0000
Li 2.6147 -1.4559 0.0000
Li 5.2295 0.0000 0.0000
Mn -1.6424 0.0000 2.4306
Co 0.9723 1.4559 2.4306
Co 0.9723 -1.4559 2.4306
Co 3.5870 0.0000 2.4306
O 2.7771 1.4920 3.5213
O 4.3970 1.4920 1.3398
O 0.2835 0.0000 3.5765
O 1.8351 0.0000 1.3075
O 5.3390 0.0000 3.5537
O 6.8906 0.0000 1.2847
O 2.7771 -1.4920 3.5213
O 4.3970 -1.4920 1.3398


24
Lattice="7.4576 -1.5121 0.0000 7.4576 1.5121 0.0000 -7.0987 0.0000 9.6806" Properties=species:S:1:pos:R:3 comment="PBE with a Hubbard U Li7Mn2Co3O12, optimized geometry" polymorph_energy_ev_per_atom=0.107 volume_a3_per_cell=218 formation_energy_ev_per_atom=-1.83 m_tot_mub_per_fu=18.0 pbc="T T T"
Li 0.0000 0.0000 0.0000
Li -5.3429 0.0000 7.3439
Li 3.2202 0.0000 2.3311
Li -0.3579 0.0000 7.3946
Li 8.1928 0.0000 2.2793
Li 4.6028 0.0000 7.3453
Li 13.1659 0.0000 2.3054
Mn 6.4173 0.0000 4.8389
Mn 11.3515 0.0000 4.8444
Co 1.4190 0.0000 4.8163
Co -2.0420 0.0000 9.6368
Co 9.8645 0.0000 0.0322
O -1.9656 0.0000 5.9272
O 1.6673 0.0000 1.1177
O -0.1346 0.0000 3.7005
O -3.6383 0.0000 8.6336
O 6.3733 0.0000 1.1193
O 3.0045 0.0000 5.9381
O 4.8038 0.0000 3.7548
O 1.4510 0.0000 8.5539
O 11.4563 0.0000 1.0384
O 7.9786 0.0000 5.9417
O 6.1543 0.0000 8.5467
O 9.7970 0.0000 3.7362